Record 1
A relaxed K2LiNdCl6 crystal. Source: Materials Project, functional PBE.

Computed properties:
DFT total energy = -4.04 eV/atom
Theoretical density = 2483 kg/m³
Symmetry = No. 225
Energy relative to the elements = -2.40 eV per atom

Cell and atoms, written as POSCAR:
```
K2LiNdCl6
1.0
0.000 5.288 5.288
5.288 0.000 5.288
5.288 5.288 0.000
K Li Nd Cl
2 1 1 6
direct
0.250 0.250 0.250 K
0.750 0.750 0.750 K
0.000 0.000 0.000 Li
0.500 0.500 0.500 Nd
0.243 0.243 0.757 Cl
0.243 0.757 0.243 Cl
0.243 0.757 0.757 Cl
0.757 0.243 0.243 Cl
0.757 0.243 0.757 Cl
0.757 0.757 0.243 Cl
```


Record 2
A relaxed Si2Bi13Sb2O28 crystal. Source: Materials Project, functional PBE.

Computed properties:
DFT total energy = -5.97 eV/atom
Theoretical density = 7534 kg/m³
Energy above the lowest structure with this stoichiometry = 15 meV/atom
Symmetry = No. 1
Energy relative to the elements = -1.77 eV per atom

Cell and atoms, written as POSCAR:
```
Si2Bi13Sb2O28
1.0
6.126 0.000 0.000
1.719 10.067 0.000
2.790 0.226 12.382
Si Bi Sb O
2 13 2 28
direct
0.000 0.000 0.000 Si
0.435 0.343 0.016 Si
0.006 0.606 0.453 Bi
0.033 0.319 0.851 Bi
0.056 0.042 0.668 Bi
0.125 0.676 0.162 Bi
0.306 0.667 0.855 Bi
0.375 0.297 0.350 Bi
0.401 0.024 0.165 Bi
0.422 0.732 0.563 Bi
0.506 0.030 0.878 Bi
0.676 0.026 0.441 Bi
0.716 0.671 0.008 Bi
0.753 0.313 0.577 Bi
0.926 0.313 0.140 Bi
0.565 0.670 0.296 Sb
0.866 0.671 0.721 Sb
0.015 0.260 0.694 O
0.019 0.386 0.461 O
0.049 0.082 0.100 O
0.082 0.081 0.883 O
0.103 0.784 0.738 O
0.108 0.564 0.616 O
0.150 0.849 0.996 O
0.287 0.494 0.020 O
0.322 0.775 0.401 O
0.328 0.557 0.277 O
0.352 0.263 0.133 O
0.387 0.261 0.916 O
0.409 0.952 0.557 O
0.411 0.080 0.324 O
0.460 0.782 0.168 O
0.504 0.223 0.492 O
0.606 0.569 0.731 O
0.629 0.786 0.841 O
0.647 0.575 0.429 O
0.675 0.087 0.731 O
0.711 0.345 0.998 O
0.724 0.997 0.018 O
0.755 0.251 0.285 O
0.783 0.763 0.586 O
0.803 0.556 0.175 O
0.825 0.771 0.288 O
0.925 0.116 0.526 O
0.971 0.561 0.850 O
```


Record 3
A relaxed Mg16Al12Cl crystal. Source: Materials Project, functional PBE.

Computed properties:
DFT total energy = -2.53 eV/atom
Theoretical density = 2096 kg/m³
Energy above the lowest structure with this stoichiometry = 0 meV/atom
Symmetry = No. 217
Energy relative to the elements = -0.05 eV per atom

Cell and atoms, written as POSCAR:
```
Mg16Al12Cl
1.0
-5.292 5.292 5.292
5.292 -5.292 5.292
5.292 5.292 -5.292
Mg Al Cl
16 12 1
direct
0.000 0.000 0.700 Mg
0.000 0.412 0.691 Mg
0.000 0.691 0.412 Mg
0.000 0.700 0.000 Mg
0.280 0.588 0.588 Mg
0.300 0.300 0.300 Mg
0.309 0.309 0.720 Mg
0.309 0.720 0.309 Mg
0.412 0.000 0.691 Mg
0.412 0.691 0.000 Mg
0.588 0.280 0.588 Mg
0.588 0.588 0.280 Mg
0.691 0.000 0.412 Mg
0.691 0.412 0.000 Mg
0.700 0.000 0.000 Mg
0.720 0.309 0.309 Mg
0.000 0.189 0.380 Al
0.000 0.380 0.189 Al
0.189 0.000 0.380 Al
0.189 0.380 0.000 Al
0.191 0.811 0.811 Al
0.380 0.000 0.189 Al
0.380 0.189 0.000 Al
0.620 0.620 0.809 Al
0.620 0.809 0.620 Al
0.809 0.620 0.620 Al
0.811 0.191 0.811 Al
0.811 0.811 0.191 Al
0.000 0.000 0.000 Cl
```


Record 4
A relaxed TbGd2Ga5O12 crystal. Source: Materials Project, functional PBE.

Computed properties:
DFT total energy = -7.90 eV/atom
Theoretical density = 6918 kg/m³
Symmetry = No. 98
Energy relative to the elements = -2.95 eV per atom

Cell and atoms, written as POSCAR:
```
TbGd2Ga5O12
1.0
-6.243 6.243 6.245
6.243 -6.243 6.245
6.243 6.243 -6.245
Tb Gd Ga O
4 8 20 48
direct
0.000 0.625 0.875 Tb
0.375 0.000 0.125 Tb
0.750 0.125 0.125 Tb
0.875 0.250 0.875 Tb
0.000 0.000 0.000 Gd
0.250 0.125 0.625 Gd
0.250 0.750 0.500 Gd
0.375 0.500 0.625 Gd
0.500 0.500 0.000 Gd
0.500 0.625 0.375 Gd
0.750 0.250 0.500 Gd
0.875 0.750 0.375 Gd
0.000 0.125 0.375 Ga
0.000 0.500 0.500 Ga
0.124 0.375 0.250 Ga
0.125 0.375 0.750 Ga
0.125 0.875 0.250 Ga
0.125 0.875 0.750 Ga
0.250 0.250 0.000 Ga
0.250 0.625 0.125 Ga
0.375 0.250 0.375 Ga
0.375 0.750 0.875 Ga
0.500 0.000 0.500 Ga
0.500 0.125 0.875 Ga
0.625 0.374 0.250 Ga
0.625 0.875 0.250 Ga
0.625 0.876 0.750 Ga
0.626 0.375 0.750 Ga
0.750 0.625 0.625 Ga
0.750 0.750 0.000 Ga
0.875 0.000 0.625 Ga
0.875 0.500 0.125 Ga
0.002 0.170 0.223 O
0.003 0.459 0.656 O
0.030 0.697 0.277 O
0.030 0.958 0.629 O
0.042 0.697 0.545 O
0.042 0.970 0.371 O
0.097 0.253 0.044 O
0.097 0.470 0.927 O
0.152 0.280 0.572 O
0.152 0.497 0.455 O
0.207 0.780 0.127 O
0.209 0.053 0.956 O
0.220 0.793 0.873 O
0.221 0.052 0.223 O
0.247 0.292 0.845 O
0.247 0.580 0.277 O
0.303 0.958 0.455 O
0.303 0.970 0.723 O
0.329 0.402 0.371 O
0.330 0.553 0.833 O
0.420 0.753 0.723 O
0.421 0.292 0.572 O
0.447 0.402 0.155 O
0.447 0.670 0.167 O
0.503 0.280 0.833 O
0.503 0.848 0.545 O
0.529 0.252 0.332 O
0.530 0.903 0.073 O
0.541 0.997 0.344 O
0.543 0.169 0.073 O
0.598 0.553 0.845 O
0.598 0.671 0.629 O
0.653 0.081 0.873 O
0.653 0.197 0.656 O
0.708 0.579 0.428 O
0.708 0.753 0.155 O
0.720 0.497 0.167 O
0.720 0.848 0.428 O
0.747 0.903 0.956 O
0.748 0.471 0.668 O
0.802 0.080 0.332 O
0.803 0.347 0.344 O
0.830 0.998 0.777 O
0.831 0.457 0.927 O
0.919 0.347 0.127 O
0.920 0.198 0.668 O
0.947 0.791 0.044 O
0.948 0.779 0.777 O
```


Q: Which of these has the lowest energy relative to the elements?
A: TbGd2Ga5O12


Q: The lowest energy relative to the elements belongs to which entry?
A: TbGd2Ga5O12


Q: What is the formula in the second record?
A: Si2Bi13Sb2O28